Record 1
A relaxed Ru2Pb3N4 crystal. Source: Materials Project, functional GGA-PBE.

Geometry as POSCAR:
```
Ru2Pb3N4
1.0
6.626 0.000 0.000
0.000 10.240 0.000
0.000 0.000 10.134
Ru Pb N
8 12 16
Direct
0.200 0.250 0.250
0.250 0.000 0.236
0.250 0.500 0.264
0.300 0.750 0.250
0.700 0.250 0.750
0.750 0.000 0.764
0.750 0.500 0.736
0.800 0.750 0.750
0.188 0.156 0.888
0.188 0.344 0.612
0.250 0.000 0.579
0.250 0.500 0.921
0.312 0.656 0.612
0.312 0.844 0.888
0.688 0.156 0.112
0.688 0.344 0.388
0.750 0.000 0.421
0.750 0.500 0.079
0.812 0.656 0.388
0.812 0.844 0.112
0.083 0.102 0.346
0.083 0.398 0.154
0.174 0.645 0.391
0.174 0.855 0.109
0.326 0.145 0.109
0.326 0.355 0.391
0.417 0.602 0.154
0.417 0.898 0.346
0.583 0.102 0.654
0.583 0.398 0.846
0.674 0.645 0.609
0.674 0.855 0.891
0.826 0.145 0.891
0.826 0.355 0.609
0.917 0.602 0.846
0.917 0.898 0.654
```

---

Record 2
A relaxed NaC64 crystal. Source: Materials Project, functional GGA-PBE.

Geometry as POSCAR:
```
NaC64
1.0
4.937 0.000 0.000
-2.469 4.276 0.000
0.000 0.000 67.303
Na C
2 128
Direct
0.333 0.667 0.250
0.667 0.333 0.750
0.000 0.000 0.029
0.000 0.000 0.086
0.000 0.000 0.143
0.000 0.000 0.202
0.000 0.000 0.298
0.000 0.000 0.357
0.000 0.000 0.414
0.000 0.000 0.471
0.000 0.000 0.529
0.000 0.000 0.586
0.000 0.000 0.643
0.000 0.000 0.702
0.000 0.000 0.798
0.000 0.000 0.857
0.000 0.000 0.914
0.000 0.000 0.971
0.000 0.500 0.029
0.000 0.500 0.086
0.000 0.500 0.143
0.000 0.500 0.202
0.000 0.500 0.298
0.000 0.500 0.357
0.000 0.500 0.414
0.000 0.500 0.471
0.000 0.500 0.529
0.000 0.500 0.586
0.000 0.500 0.643
0.000 0.500 0.702
0.000 0.500 0.798
0.000 0.500 0.857
0.000 0.500 0.914
0.000 0.500 0.971
0.167 0.333 0.086
0.167 0.333 0.202
0.167 0.333 0.298
0.167 0.333 0.414
0.167 0.333 0.529
0.167 0.333 0.643
0.167 0.333 0.857
0.167 0.333 0.971
0.167 0.833 0.086
0.167 0.833 0.202
0.167 0.833 0.298
0.167 0.833 0.414
0.167 0.833 0.529
0.167 0.833 0.643
0.167 0.833 0.857
0.167 0.833 0.971
0.333 0.167 0.029
0.333 0.167 0.143
0.333 0.167 0.357
0.333 0.167 0.471
0.333 0.167 0.586
0.333 0.167 0.702
0.333 0.167 0.798
0.333 0.167 0.914
0.333 0.667 0.029
0.333 0.667 0.143
0.333 0.667 0.357
0.333 0.667 0.471
0.333 0.667 0.586
0.333 0.667 0.702
0.333 0.667 0.798
0.333 0.667 0.914
0.500 0.000 0.029
0.500 0.000 0.086
0.500 0.000 0.143
0.500 0.000 0.202
0.500 0.000 0.298
0.500 0.000 0.357
0.500 0.000 0.414
0.500 0.000 0.471
0.500 0.000 0.529
0.500 0.000 0.586
0.500 0.000 0.643
0.500 0.000 0.702
0.500 0.000 0.798
0.500 0.000 0.857
0.500 0.000 0.914
0.500 0.000 0.971
0.500 0.500 0.029
0.500 0.500 0.086
0.500 0.500 0.143
0.500 0.500 0.202
0.500 0.500 0.298
0.500 0.500 0.357
0.500 0.500 0.414
0.500 0.500 0.471
0.500 0.500 0.529
0.500 0.500 0.586
0.500 0.500 0.643
0.500 0.500 0.702
0.500 0.500 0.798
0.500 0.500 0.857
0.500 0.500 0.914
0.500 0.500 0.971
0.667 0.333 0.086
0.667 0.333 0.202
0.667 0.333 0.298
0.667 0.333 0.414
0.667 0.333 0.529
0.667 0.333 0.643
0.667 0.333 0.857
0.667 0.333 0.971
0.667 0.833 0.086
0.667 0.833 0.202
0.667 0.833 0.298
0.667 0.833 0.414
0.667 0.833 0.529
0.667 0.833 0.643
0.667 0.833 0.857
0.667 0.833 0.971
0.833 0.167 0.029
0.833 0.167 0.143
0.833 0.167 0.357
0.833 0.167 0.471
0.833 0.167 0.586
0.833 0.167 0.702
0.833 0.167 0.798
0.833 0.167 0.914
0.833 0.667 0.029
0.833 0.667 0.143
0.833 0.667 0.357
0.833 0.667 0.471
0.833 0.667 0.586
0.833 0.667 0.702
0.833 0.667 0.798
0.833 0.667 0.914
```

---

Record 3
A relaxed Mg2Si crystal. Source: Materials Project, functional GGA-PBE.

Geometry as POSCAR:
```
Mg2Si
1.0
5.344 0.000 0.000
1.241 6.692 0.000
1.956 1.729 6.748
Mg Si
8 4
Direct
0.000 0.000 0.000
0.006 0.574 0.257
0.345 0.696 0.768
0.456 0.821 0.264
0.523 0.140 0.851
0.645 0.352 0.146
0.853 0.943 0.494
0.965 0.421 0.701
0.176 0.206 0.193
0.318 0.124 0.520
0.523 0.431 0.517
0.783 0.733 0.898
```

---

Record 4
A relaxed Na2Ti2O5 crystal. Source: Materials Project, functional GGA-PBE.

Geometry as POSCAR:
```
Na2Ti2O5
1.0
5.468 0.000 0.000
0.000 23.988 0.000
-0.061 0.000 8.868
Na Ti O
16 16 40
Direct
0.190 0.015 0.159
0.190 0.485 0.659
0.221 0.528 0.098
0.221 0.972 0.598
0.283 0.221 0.778
0.283 0.279 0.278
0.304 0.740 0.476
0.304 0.760 0.976
0.696 0.240 0.024
0.696 0.260 0.524
0.717 0.721 0.722
0.717 0.779 0.222
0.779 0.028 0.402
0.779 0.472 0.902
0.810 0.515 0.341
0.810 0.985 0.841
0.172 0.161 0.138
0.172 0.339 0.638
0.192 0.633 0.804
0.192 0.867 0.304
0.306 0.115 0.483
0.306 0.385 0.983
0.329 0.590 0.458
0.329 0.910 0.958
0.671 0.090 0.042
0.671 0.410 0.542
0.694 0.615 0.017
0.694 0.885 0.517
0.808 0.133 0.696
0.808 0.367 0.196
0.828 0.661 0.362
0.828 0.839 0.862
0.143 0.136 0.657
0.143 0.364 0.157
0.165 0.653 0.391
0.165 0.847 0.891
0.210 0.048 0.424
0.210 0.452 0.924
0.233 0.531 0.361
0.233 0.969 0.861
0.247 0.169 0.340
0.247 0.331 0.840
0.254 0.580 0.660
0.254 0.920 0.160
0.271 0.221 0.047
0.271 0.279 0.547
0.289 0.700 0.749
0.289 0.800 0.249
0.335 0.099 0.068
0.335 0.401 0.568
0.358 0.611 0.978
0.358 0.889 0.478
0.642 0.111 0.522
0.642 0.389 0.022
0.665 0.599 0.432
0.665 0.901 0.932
0.711 0.200 0.751
0.711 0.300 0.251
0.729 0.721 0.453
0.729 0.779 0.953
0.746 0.080 0.840
0.746 0.420 0.340
0.753 0.669 0.160
0.753 0.831 0.660
0.767 0.031 0.139
0.767 0.469 0.639
0.790 0.548 0.076
0.790 0.952 0.576
0.835 0.153 0.109
0.835 0.347 0.609
0.857 0.636 0.843
0.857 0.864 0.343
```

---

Record 5
A relaxed NaDy3 crystal. Source: Materials Project, functional GGA-PBE.

Geometry as POSCAR:
```
NaDy3
1.0
0.000 3.982 3.982
3.982 0.000 3.982
3.982 3.982 0.000
Na Dy
1 3
Direct
0.000 0.000 0.000
0.250 0.250 0.250
0.500 0.500 0.500
0.750 0.750 0.750
```

## Properties
- Distance to the lowest polymorph of the same formula: 4 meV/atom

---

Record 6
A relaxed K2Li2TiO4 crystal. Source: Materials Project, functional GGA-PBE.

Geometry as POSCAR:
```
K2Li2TiO4
1.0
5.790 0.000 0.000
0.000 8.528 0.000
-3.738 0.000 10.747
K Li Ti O
8 8 4 16
Direct
0.184 0.004 0.342
0.184 0.496 0.842
0.222 0.217 0.605
0.222 0.283 0.105
0.778 0.717 0.895
0.778 0.783 0.395
0.816 0.504 0.158
0.816 0.996 0.658
0.124 0.019 0.926
0.124 0.481 0.426
0.393 0.549 0.296
0.393 0.951 0.796
0.607 0.049 0.204
0.607 0.451 0.704
0.876 0.519 0.574
0.876 0.981 0.074
0.381 0.706 0.573
0.381 0.794 0.073
0.619 0.206 0.927
0.619 0.294 0.427
0.235 0.531 0.616
0.235 0.969 0.116
0.280 0.690 0.403
0.280 0.810 0.903
0.291 0.168 0.854
0.291 0.332 0.354
0.305 0.597 0.116
0.305 0.903 0.616
0.695 0.097 0.384
0.695 0.403 0.884
0.709 0.668 0.646
0.709 0.832 0.146
0.720 0.190 0.097
0.720 0.310 0.597
0.765 0.031 0.884
0.765 0.469 0.384
```

---

Record 7
A relaxed La4MgSi4C4O22 crystal. Source: Materials Project, functional GGA-PBE.

Geometry as POSCAR:
```
La4MgSi4C4O22
1.0
11.919 0.000 0.000
0.000 5.551 0.000
-6.158 0.000 12.947
La Mg Si C O
8 2 8 8 44
Direct
0.235 0.009 0.263
0.235 0.491 0.763
0.242 0.534 0.050
0.242 0.966 0.550
0.758 0.034 0.450
0.758 0.466 0.950
0.765 0.509 0.237
0.765 0.991 0.737
0.000 0.000 0.000
0.000 0.500 0.500
0.052 0.006 0.663
0.052 0.494 0.163
0.239 0.001 0.910
0.239 0.499 0.410
0.761 0.501 0.590
0.761 0.999 0.090
0.948 0.506 0.837
0.948 0.994 0.337
0.408 0.015 0.164
0.408 0.485 0.664
0.462 0.163 0.489
0.462 0.337 0.989
0.538 0.663 0.011
0.538 0.837 0.511
0.592 0.515 0.336
0.592 0.985 0.836
0.087 0.223 0.602
0.087 0.277 0.102
0.090 0.000 0.356
0.090 0.500 0.856
0.100 0.744 0.128
0.100 0.756 0.628
0.156 0.067 0.786
0.156 0.433 0.286
0.167 0.009 0.982
0.167 0.491 0.482
0.302 0.746 0.916
0.302 0.754 0.416
0.339 0.236 0.443
0.339 0.264 0.943
0.357 0.218 0.179
0.357 0.282 0.679
0.360 0.685 0.687
0.360 0.815 0.187
0.488 0.005 0.132
0.488 0.495 0.632
0.496 0.510 0.069
0.496 0.990 0.569
0.504 0.010 0.431
0.504 0.490 0.931
0.512 0.505 0.368
0.512 0.995 0.868
0.640 0.185 0.813
0.640 0.315 0.313
0.643 0.718 0.321
0.643 0.782 0.821
0.661 0.736 0.057
0.661 0.764 0.557
0.698 0.246 0.584
0.698 0.254 0.084
0.833 0.509 0.518
0.833 0.991 0.018
0.844 0.567 0.714
0.844 0.933 0.214
0.900 0.244 0.372
0.900 0.256 0.872
0.910 0.000 0.644
0.910 0.500 0.144
0.913 0.723 0.898
0.913 0.777 0.398
```

---

Record 8
A relaxed MgSi2 crystal. Source: Materials Project, functional GGA-PBE.

Geometry as POSCAR:
```
MgSi2
1.0
4.616 -2.267 0.000
4.616 2.267 0.000
-3.577 0.000 9.912
Mg Si
4 8
Direct
0.000 0.000 0.000
0.074 0.074 0.737
0.500 0.500 0.500
0.926 0.926 0.263
0.190 0.190 0.480
0.229 0.229 0.257
0.321 0.321 0.028
0.394 0.394 0.823
0.606 0.606 0.177
0.679 0.679 0.972
0.771 0.771 0.743
0.810 0.810 0.520
```

## Properties
- Distance to the lowest polymorph of the same formula: 131 meV/atom

---

Summary of ΔH_f (0 K) in meV/atom
371 14 45 -3006 311 -2545 -2779 208
(order as listed above)
Summary of electronic total energy in eV per atom
-6.472 -9.093 -2.854 -7.422 -3.475 -5.987 -7.742 -3.989
(order as listed above)